# 1
Crystalline CsPdCl3 at its relaxed geometry. Source: the Materials Project database, functional meta-GGA r2SCAN.

Computed properties:
calculated total energy = -583.0 eV for the cell shown
total magnetic moment = 0.00 μB/atom
ΔE_f = -612 kJ/mol of formula units
V = 1273 Å³ per cell

```
data_CsPdCl3
_cell_length_a 10.634
_cell_length_b 13.801
_cell_length_c 8.675
_cell_angle_alpha 90.00
_cell_angle_beta 90.00
_cell_angle_gamma 90.00
_symmetry_space_group_name_H-M 'I b a m'
_symmetry_Int_Tables_number 72
_symmetry_space_group_name_Hall '-I 2 2c'
loop_
_atom_site_label
_atom_site_fract_x
_atom_site_fract_y
_atom_site_fract_z
Cs1 0.000 0.176 0.250
Pd1 0.146 0.448 0.000
Cl1 0.062 0.395 0.500
Cl2 0.153 0.004 0.000
Cl3 0.219 0.292 0.000
```


# 2
Crystalline Cs2PdCl4 at its relaxed geometry. Source: the Materials Project database, functional meta-GGA r2SCAN.

Computed properties:
calculated total energy = -108.8 eV for the cell shown
total magnetic moment = 0.00 μB/atom
ΔE_f = -1062 kJ/mol of formula units
V = 264 Å³ per cell

```
data_Cs2PdCl4
_cell_length_a 7.509
_cell_length_b 7.509
_cell_length_c 4.673
_cell_angle_alpha 90.00
_cell_angle_beta 90.00
_cell_angle_gamma 90.00
_symmetry_space_group_name_H-M 'P 4/m m m'
_symmetry_Int_Tables_number 123
_symmetry_space_group_name_Hall '-P 4 2'
loop_
_atom_site_label
_atom_site_fract_x
_atom_site_fract_y
_atom_site_fract_z
Cs1 0.000 0.500 0.000
Pd1 0.000 0.000 0.500
Cl1 0.219 0.219 0.500
```


# 3
Crystalline Cs2PdCl4 at its relaxed geometry. Source: the Materials Project database, functional meta-GGA r2SCAN.

Computed properties:
calculated total energy = -435.2 eV for the cell shown
total magnetic moment = 0.00 μB/atom
ΔE_f = -1062 kJ/mol of formula units
V = 1055 Å³ per cell

```
data_Cs2PdCl4
_cell_length_a 10.637
_cell_length_b 10.634
_cell_length_c 9.326
_cell_angle_alpha 90.00
_cell_angle_beta 90.00
_cell_angle_gamma 90.00
_symmetry_space_group_name_H-M 'C m c m'
_symmetry_Int_Tables_number 63
_symmetry_space_group_name_Hall '-C 2c 2'
loop_
_atom_site_label
_atom_site_fract_x
_atom_site_fract_y
_atom_site_fract_z
Cs1 0.246 0.249 0.250
Pd1 0.000 0.500 0.000
Cl1 0.000 0.282 0.506
Cl2 0.218 0.500 0.000
```


# 4
Crystalline Cs3PrCl6 at its relaxed geometry. Source: the Materials Project database, functional meta-GGA r2SCAN.

Computed properties:
calculated total energy = -1324.1 eV for the cell shown
total magnetic moment = 0.00 μB/atom
ΔE_f = -2303 kJ/mol of formula units
V = 2995 Å³ per cell

```
data_Cs3PrCl6
_cell_length_a 27.337
_cell_length_b 8.344
_cell_length_c 13.319
_cell_angle_alpha 90.00
_cell_angle_beta 99.67
_cell_angle_gamma 90.00
_symmetry_space_group_name_H-M 'C 1 2/c 1'
_symmetry_Int_Tables_number 15
_symmetry_space_group_name_Hall '-C 2yc'
loop_
_atom_site_label
_atom_site_fract_x
_atom_site_fract_y
_atom_site_fract_z
Cs1 0.050 0.250 0.433
Cs2 0.154 0.187 0.145
Cs3 0.162 0.313 0.800
Pr1 0.000 0.284 0.750
Pr2 0.250 0.250 0.500
Cl1 0.058 0.057 0.677
Cl2 0.059 0.277 0.938
Cl3 0.059 0.468 0.196
Cl4 0.171 0.053 0.419
Cl5 0.176 0.457 0.533
Cl6 0.250 0.108 0.689
```